Compound: Cs2YCl5
Source: the Materials Project database
Functional: meta-GGA r2SCAN
Structure: relaxed

Lattice parameters (Å, degrees): 9.554 7.497 15.323 90.00 90.00 90.00
Sites, in units of the cell vectors:
1 Cs 0.027 0.250 0.211
2 Cs 0.166 0.750 0.416
3 Cs 0.334 0.250 0.916
4 Cs 0.473 0.750 0.711
5 Cs 0.527 0.250 0.289
6 Cs 0.666 0.750 0.084
7 Cs 0.834 0.250 0.584
8 Cs 0.973 0.750 0.789
9 Y 0.180 0.750 0.066
10 Y 0.320 0.250 0.566
11 Y 0.680 0.750 0.434
12 Y 0.820 0.250 0.934
13 Cl 0.000 0.000 0.000
14 Cl 0.000 0.500 0.000
15 Cl 0.018 0.750 0.202
16 Cl 0.163 0.506 0.619
17 Cl 0.163 0.994 0.619
18 Cl 0.209 0.250 0.408
19 Cl 0.291 0.750 0.908
20 Cl 0.337 0.006 0.119
21 Cl 0.337 0.494 0.119
22 Cl 0.482 0.250 0.702
23 Cl 0.500 0.000 0.500
24 Cl 0.500 0.500 0.500
25 Cl 0.518 0.750 0.298
26 Cl 0.663 0.506 0.881
27 Cl 0.663 0.994 0.881
28 Cl 0.709 0.250 0.092
29 Cl 0.791 0.750 0.592
30 Cl 0.837 0.006 0.381
31 Cl 0.837 0.494 0.381
32 Cl 0.982 0.250 0.798

Energy of formation, eV per atom: -2.45
Mass density, g/cm3: 3.219